# CeSi2Pt2, optimized geometry, DFT PBE-GGA
# Theoretical density = 11.00 g cm⁻³
# Formation energy from the elements = -1.002 eV per atom
# Spin magnetization = 0.10 μB/atom
data_CeSi2Pt2
_space_group_name_H-M_alt 'I 4/m m m'
_space_group_IT_number 139
_space_group_name_Hall '-I 4 2'
_cell_length_a 4.207
_cell_length_b 4.207
_cell_length_c 10.003
_cell_angle_alpha 90.00
_cell_angle_beta 90.00
_cell_angle_gamma 90.00
loop_
_atom_site_label
_atom_site_fract_x
_atom_site_fract_y
_atom_site_fract_z
Ce1 0.000 0.000 0.000
Si1 0.000 0.000 0.382
Pt1 0.000 0.500 0.250